# 1
A plane-wave DFT calculation with GGA-PBE was carried out for an optimized crystal structure of Na2HfSiSnP2O12.

a = 8.913 Å, b = 8.909 Å, c = 22.914 Å
α = 90.03°, β = 89.87°, γ = 119.79°
Fractional coordinates of all 114 atoms:
Na1 0.000 0.632 0.250
Na2 0.368 0.000 0.750
Na3 0.665 0.969 0.585
Na4 0.031 0.336 0.085
Na5 0.973 0.669 0.918
Na6 0.330 0.028 0.419
Na7 0.003 0.998 0.500
Na8 0.003 0.997 0.001
Na9 0.665 0.327 0.833
Na10 0.672 0.335 0.334
Na11 0.343 0.670 0.167
Na12 0.329 0.657 0.666
Hf1 0.998 0.007 0.853
Hf2 0.667 0.330 0.187
Hf3 0.660 0.330 0.981
Hf4 0.334 0.675 0.020
Hf5 0.329 0.659 0.314
Hf6 0.342 0.670 0.813
Si1 0.000 0.287 0.249
Si2 0.711 0.003 0.747
Si3 0.372 0.042 0.583
Si4 0.958 0.630 0.083
Si5 0.336 0.963 0.915
Si6 0.035 0.664 0.416
Sn1 0.993 0.999 0.353
Sn2 0.004 0.000 0.648
Sn3 0.001 0.997 0.148
Sn4 0.670 0.335 0.685
Sn5 0.670 0.339 0.482
Sn6 0.327 0.666 0.518
P1 0.292 0.002 0.251
P2 0.709 0.711 0.250
P3 0.291 0.291 0.749
P4 0.996 0.706 0.750
P5 0.960 0.335 0.583
P6 0.666 0.624 0.583
P7 0.667 0.041 0.084
P8 0.375 0.332 0.084
P9 0.624 0.667 0.917
P10 0.045 0.377 0.918
P11 0.625 0.957 0.418
P12 0.333 0.375 0.418
O1 0.213 0.031 0.308
O2 0.828 0.785 0.304
O3 0.964 0.169 0.307
O4 0.209 0.173 0.802
O5 0.971 0.790 0.805
O6 0.830 0.030 0.804
O7 0.790 0.968 0.688
O8 0.181 0.212 0.694
O9 0.039 0.825 0.696
O10 0.789 0.822 0.195
O11 0.034 0.210 0.189
O12 0.172 0.959 0.198
O13 0.883 0.371 0.638
O14 0.494 0.122 0.641
O15 0.635 0.514 0.639
O16 0.871 0.507 0.141
O17 0.638 0.125 0.138
O18 0.485 0.356 0.138
O19 0.459 0.304 0.030
O20 0.844 0.540 0.025
O21 0.698 0.158 0.030
O22 0.457 0.156 0.523
O23 0.701 0.547 0.529
O24 0.843 0.296 0.529
O25 0.539 0.693 0.971
O26 0.153 0.457 0.973
O27 0.299 0.835 0.971
O28 0.550 0.850 0.475
O29 0.304 0.456 0.473
O30 0.164 0.711 0.472
O31 0.126 0.638 0.358
O32 0.508 0.870 0.365
O33 0.362 0.489 0.364
O34 0.130 0.493 0.864
O35 0.360 0.871 0.857
O36 0.512 0.637 0.863
O37 0.029 0.846 0.410
O38 0.807 0.977 0.412
O39 0.174 0.192 0.411
O40 0.024 0.196 0.911
O41 0.156 0.969 0.910
O42 0.807 0.825 0.910
O43 0.968 0.165 0.589
O44 0.181 0.021 0.588
O45 0.825 0.809 0.589
O46 0.979 0.822 0.089
O47 0.837 0.033 0.089
O48 0.189 0.172 0.088
O49 0.682 0.172 0.745
O50 0.471 0.305 0.744
O51 0.832 0.527 0.743
O52 0.693 0.531 0.243
O53 0.833 0.317 0.244
O54 0.469 0.163 0.243
O55 0.651 0.508 0.923
O56 0.866 0.365 0.924
O57 0.506 0.151 0.922
O58 0.634 0.135 0.423
O59 0.494 0.350 0.422
O60 0.846 0.491 0.422
O61 0.352 0.492 0.077
O62 0.145 0.635 0.078
O63 0.509 0.860 0.077
O64 0.368 0.854 0.578
O65 0.504 0.646 0.577
O66 0.142 0.494 0.577
O67 0.308 0.837 0.258
O68 0.530 0.694 0.258
O69 0.168 0.483 0.255
O70 0.309 0.471 0.757
O71 0.160 0.688 0.757
O72 0.516 0.834 0.754

Computed properties:
- Energy of formation: -54.9 eV per formula unit
- Total magnetic moment: 0.00 Bohr magnetons per cell

***

# 2
A plane-wave DFT calculation with GGA-PBE was carried out for an optimized crystal structure of Na5Hf2Si3Sn2P3O24.

a = 8.992 Å, b = 8.991 Å, c = 22.843 Å
α = 90.05°, β = 89.90°, γ = 119.92°
Fractional coordinates of all 117 atoms:
Na1 0.000 0.630 0.250
Na2 0.368 0.000 0.750
Na3 0.031 0.701 0.581
Na4 0.662 0.963 0.584
Na5 0.299 0.970 0.081
Na6 0.034 0.337 0.086
Na7 0.972 0.669 0.918
Na8 0.965 0.300 0.414
Na9 0.336 0.029 0.418
Na10 0.996 0.993 0.500
Na11 0.999 0.000 0.000
Na12 0.665 0.327 0.833
Na13 0.666 0.332 0.333
Na14 0.343 0.660 0.167
Na15 0.339 0.657 0.666
Hf1 0.999 0.007 0.852
Hf2 0.666 0.332 0.186
Hf3 0.657 0.329 0.981
Hf4 0.334 0.666 0.019
Hf5 0.335 0.666 0.314
Hf6 0.341 0.670 0.813
Si1 0.000 0.291 0.250
Si2 0.710 0.005 0.748
Si3 0.373 0.044 0.584
Si4 0.663 0.622 0.584
Si5 0.956 0.627 0.083
Si6 0.374 0.335 0.085
Si7 0.335 0.962 0.916
Si8 0.627 0.959 0.417
Si9 0.039 0.666 0.417
Sn1 0.991 0.994 0.352
Sn2 0.000 0.001 0.648
Sn3 0.998 0.999 0.148
Sn4 0.667 0.335 0.685
Sn5 0.666 0.338 0.482
Sn6 0.339 0.670 0.518
P1 0.292 0.001 0.251
P2 0.708 0.710 0.249
P3 0.290 0.291 0.749
P4 0.997 0.705 0.750
P5 0.960 0.334 0.583
P6 0.667 0.043 0.083
P7 0.625 0.667 0.916
P8 0.043 0.376 0.917
P9 0.335 0.377 0.417
O1 0.209 0.029 0.307
O2 0.827 0.784 0.304
O3 0.970 0.177 0.309
O4 0.205 0.172 0.803
O5 0.973 0.794 0.805
O6 0.830 0.030 0.804
O7 0.789 0.970 0.688
O8 0.181 0.211 0.694
O9 0.038 0.820 0.695
O10 0.790 0.821 0.194
O11 0.031 0.209 0.190
O12 0.176 0.962 0.196
O13 0.881 0.373 0.637
O14 0.495 0.120 0.641
O15 0.634 0.507 0.642
O16 0.873 0.505 0.141
O17 0.634 0.124 0.138
O18 0.492 0.359 0.141
O19 0.460 0.294 0.029
O20 0.844 0.539 0.025
O21 0.701 0.159 0.030
O22 0.454 0.155 0.524
O23 0.714 0.547 0.527
O24 0.848 0.296 0.527
O25 0.540 0.693 0.971
O26 0.152 0.457 0.973
O27 0.301 0.841 0.974
O28 0.551 0.848 0.477
O29 0.294 0.452 0.471
O30 0.157 0.703 0.476
O31 0.126 0.632 0.360
O32 0.501 0.869 0.362
O33 0.361 0.489 0.363
O34 0.131 0.493 0.864
O35 0.357 0.866 0.858
O36 0.512 0.638 0.862
O37 0.035 0.847 0.410
O38 0.823 0.991 0.412
O39 0.173 0.195 0.410
O40 0.024 0.197 0.910
O41 0.156 0.968 0.909
O42 0.807 0.825 0.909
O43 0.973 0.170 0.589
O44 0.179 0.016 0.590
O45 0.836 0.815 0.589
O46 0.985 0.822 0.090
O47 0.832 0.029 0.089
O48 0.182 0.161 0.089
O49 0.682 0.173 0.745
O50 0.468 0.301 0.745
O51 0.836 0.527 0.745
O52 0.696 0.532 0.243
O53 0.833 0.317 0.245
O54 0.469 0.160 0.244
O55 0.652 0.510 0.922
O56 0.867 0.365 0.923
O57 0.506 0.149 0.921
O58 0.642 0.150 0.423
O59 0.493 0.353 0.421
O60 0.854 0.489 0.422
O61 0.346 0.499 0.077
O62 0.149 0.648 0.077
O63 0.504 0.866 0.076
O64 0.350 0.849 0.579
O65 0.496 0.647 0.579
O66 0.137 0.499 0.576
O67 0.303 0.836 0.257
O68 0.531 0.692 0.257
O69 0.168 0.485 0.255
O70 0.309 0.469 0.757
O71 0.161 0.690 0.757
O72 0.516 0.836 0.755

Computed properties:
- Energy of formation: -112.7 eV per formula unit
- Total magnetic moment: 0.00 Bohr magnetons per cell

***

Question: The lowest energy of formation belongs to which entry?
Answer: Na5Hf2Si3Sn2P3O24

***

Question: What is the total magnetic moment in the first record?
Answer: 0.00 Bohr magnetons per cell